[1]
First-principles (PBE) data for a relaxed structure of PrSbIr, as listed in the Materials Project database.

Summary:
**Energy of formation from the pure elements**: -246 kJ/mol of formula units
**Space group**: No. 62

Unit cell a=7.5007 b=4.6065 c=8.0295 alpha=90.00 beta=90.00 gamma=90.00
Last column: nearest neighbours and their distance in Å.
Positions (direct):
Pr1 0.0168 0.2500 0.1905  5 Ir 3.11-3.40, 6 Sb 3.25-3.40
Pr2 0.4832 0.7500 0.6905  5 Ir 3.11-3.40, 6 Sb 3.25-3.40
Pr3 0.5168 0.2500 0.3095  5 Ir 3.11-3.40, 6 Sb 3.25-3.40
Pr4 0.9832 0.7500 0.8095  5 Ir 3.11-3.40, 6 Sb 3.25-3.40
Sb1 0.1740 0.2500 0.5872  4 Ir 2.72-2.80
Sb2 0.3260 0.7500 0.0872  4 Ir 2.72-2.80
Sb3 0.6740 0.2500 0.9128  4 Ir 2.72-2.80
Sb4 0.8260 0.7500 0.4128  4 Ir 2.72-2.80
Ir1 0.1997 0.7500 0.4080  4 Sb 2.72-2.80
Ir2 0.3003 0.2500 0.9080  4 Sb 2.72-2.80
Ir3 0.6997 0.7500 0.0920  4 Sb 2.72-2.80
Ir4 0.8003 0.2500 0.5920  4 Sb 2.72-2.80

***

[2]
First-principles (PBE) data for a relaxed structure of SmAl3Pb2O8, as listed in the Materials Project database.

Summary:
**Energy of formation from the pure elements**: -4029 kJ/mol of formula units
**Total moment**: 0.001 μB per formula unit
**Space group**: No. 224

Unit cell a=9.5992 b=9.5992 c=9.5992 alpha=90.00 beta=90.00 gamma=90.00
Last column: nearest neighbours and their distance in Å.
Positions (direct):
Sm1 0.0000 0.0000 0.0000  8 O 2.32-2.59
Sm2 0.0000 0.5000 0.5000  8 O 2.32-2.59
Sm3 0.5000 0.0000 0.5000  8 O 2.32-2.59
Sm4 0.5000 0.5000 0.0000  8 O 2.32-2.59
Al1 0.0000 0.2500 0.7500  4 O 1.76
Al2 0.0000 0.7500 0.2500  4 O 1.76
Al3 0.2500 0.0000 0.7500  4 O 1.76
Al4 0.2500 0.5000 0.7500  4 O 1.76
Al5 0.2500 0.7500 0.0000  4 O 1.76
Al6 0.2500 0.7500 0.5000  4 O 1.76
Al7 0.5000 0.2500 0.7500  4 O 1.76
Al8 0.5000 0.7500 0.2500  4 O 1.76
Al9 0.7500 0.0000 0.2500  4 O 1.76
Al10 0.7500 0.2500 0.0000  4 O 1.76
Al11 0.7500 0.2500 0.5000  4 O 1.76
Al12 0.7500 0.5000 0.2500  4 O 1.76
Pb1 0.1168 0.1168 0.3832  3 O 2.36
Pb2 0.1168 0.3832 0.1168  3 O 2.36
Pb3 0.3832 0.1168 0.1168  3 O 2.36
Pb4 0.3832 0.3832 0.3832  3 O 2.36
Pb5 0.6168 0.6168 0.6168  3 O 2.36
Pb6 0.6168 0.8832 0.8832  3 O 2.36
Pb7 0.8832 0.6168 0.8832  3 O 2.36
Pb8 0.8832 0.8832 0.6168  3 O 2.36
O1 0.0927 0.0927 0.7640  2 Al 1.76
O2 0.0927 0.4073 0.7360  2 Al 1.76
O3 0.0927 0.7360 0.4073  2 Al 1.76
O4 0.0927 0.7640 0.0927  2 Al 1.76
O5 0.1395 0.1395 0.1395  1 Sm 2.32, 3 Pb 2.36
O6 0.1395 0.3605 0.3605  1 Sm 2.32, 3 Pb 2.36
O7 0.2360 0.5927 0.5927  2 Al 1.76
O8 0.2360 0.9073 0.9073  2 Al 1.76
O9 0.2640 0.5927 0.9073  2 Al 1.76
O10 0.2640 0.9073 0.5927  2 Al 1.76
O11 0.3605 0.1395 0.3605  1 Sm 2.32, 3 Pb 2.36
O12 0.3605 0.3605 0.1395  1 Sm 2.32, 3 Pb 2.36
O13 0.4073 0.0927 0.7360  2 Al 1.76
O14 0.4073 0.4073 0.7640  2 Al 1.76
O15 0.4073 0.7360 0.0927  2 Al 1.76
O16 0.4073 0.7640 0.4073  2 Al 1.76
O17 0.5927 0.2360 0.5927  2 Al 1.76
O18 0.5927 0.2640 0.9073  2 Al 1.76
O19 0.5927 0.5927 0.2360  2 Al 1.76
O20 0.5927 0.9073 0.2640  2 Al 1.76
O21 0.6395 0.6395 0.8605  1 Sm 2.32, 3 Pb 2.36
O22 0.6395 0.8605 0.6395  1 Sm 2.32, 3 Pb 2.36
O23 0.7360 0.0927 0.4073  2 Al 1.76
O24 0.7360 0.4073 0.0927  2 Al 1.76
O25 0.7640 0.0927 0.0927  2 Al 1.76
O26 0.7640 0.4073 0.4073  2 Al 1.76
O27 0.8605 0.6395 0.6395  1 Sm 2.32, 3 Pb 2.36
O28 0.8605 0.8605 0.8605  1 Sm 2.32, 3 Pb 2.36
O29 0.9073 0.2360 0.9073  2 Al 1.76
O30 0.9073 0.2640 0.5927  2 Al 1.76
O31 0.9073 0.5927 0.2640  2 Al 1.76
O32 0.9073 0.9073 0.2360  2 Al 1.76

***

[3]
First-principles (PBE) data for a relaxed structure of PmHgAu2, as listed in the Materials Project database.

Summary:
**Energy of formation from the pure elements**: -228 kJ/mol of formula units
**Space group**: No. 225

Unit cell a=5.0411 b=5.0411 c=5.0411 alpha=60.00 beta=60.00 gamma=60.00
Last column: nearest neighbours and their distance in Å.
Positions (direct):
Pm1 0.0000 0.0000 0.0000  8 Au 3.09
Hg1 0.5000 0.5000 0.5000  8 Au 3.09
Au1 0.2500 0.2500 0.2500  4 Hg 3.09, 4 Pm 3.09
Au2 0.7500 0.7500 0.7500  4 Hg 3.09, 4 Pm 3.09

***

[4]
First-principles (PBE) data for a relaxed structure of TeSeSN2Cl2, as listed in the Materials Project database.

Summary:
**Energy of formation from the pure elements**: -57 kJ/mol of formula units
**Total moment**: 0.000 μB per formula unit
**Space group**: No. 61

Unit cell a=8.1881 b=20.9903 c=8.8162 alpha=90.00 beta=90.00 gamma=90.00
Last column: nearest neighbours and their distance in Å.
Positions (direct):
Te1 0.0746 0.0927 0.1080  1 N 2.04
Te2 0.0746 0.4073 0.6080  1 N 2.04
Te3 0.4254 0.5927 0.1080  1 N 2.04
Te4 0.4254 0.9073 0.6080  1 N 2.04
Te5 0.5746 0.0927 0.3920  1 N 2.04
Te6 0.5746 0.4073 0.8920  1 N 2.04
Te7 0.9254 0.5927 0.3920  1 N 2.04
Te8 0.9254 0.9073 0.8920  1 N 2.04
Se1 0.1738 0.2019 0.0012  1 N 1.82
Se2 0.1738 0.2981 0.5012  1 N 1.82
Se3 0.3262 0.7019 0.0012  1 N 1.82
Se4 0.3262 0.7981 0.5012  1 N 1.82
Se5 0.6738 0.2019 0.4988  1 N 1.82
Se6 0.6738 0.2981 0.9988  1 N 1.82
Se7 0.8262 0.7019 0.4988  1 N 1.82
Se8 0.8262 0.7981 0.9988  1 N 1.82
S1 0.0460 0.1187 0.7595  2 N 1.56
S2 0.0460 0.3813 0.2595  2 N 1.56
S3 0.4540 0.6187 0.7595  2 N 1.56
S4 0.4540 0.8813 0.2595  2 N 1.56
S5 0.5460 0.1187 0.7405  2 N 1.56
S6 0.5460 0.3813 0.2405  2 N 1.56
S7 0.9540 0.6187 0.7405  2 N 1.56
S8 0.9540 0.8813 0.2405  2 N 1.56
N1 0.0055 0.0719 0.8914  1 S 1.56
N2 0.0055 0.4281 0.3914  1 S 1.56
N3 0.1271 0.1835 0.8044  1 S 1.56
N4 0.1271 0.3165 0.3044  1 S 1.56
N5 0.3729 0.6835 0.8044  1 S 1.56
N6 0.3729 0.8165 0.3044  1 S 1.56
N7 0.4945 0.5719 0.8914  1 S 1.56
N8 0.4945 0.9281 0.3914  1 S 1.56
N9 0.5055 0.0719 0.6086  1 S 1.56
N10 0.5055 0.4281 0.1086  1 S 1.56
N11 0.6271 0.1835 0.6956  1 S 1.56
N12 0.6271 0.3165 0.1956  1 S 1.56
N13 0.8729 0.6835 0.6956  1 S 1.56
N14 0.8729 0.8165 0.1956  1 S 1.56
N15 0.9945 0.5719 0.6086  1 S 1.56
N16 0.9945 0.9281 0.1086  1 S 1.56
Cl1 0.1699 0.5343 0.0657  1 Te 2.45
Cl2 0.1699 0.9657 0.5657  1 Te 2.45
Cl3 0.2431 0.6487 0.3565  2 Te 2.87-2.90
Cl4 0.2431 0.8513 0.8565  2 Te 2.87-2.90
Cl5 0.2569 0.1487 0.3565  2 Te 2.87-2.90
Cl6 0.2569 0.3513 0.8565  2 Te 2.87-2.90
Cl7 0.3301 0.0343 0.0657  1 Te 2.45
Cl8 0.3301 0.4657 0.5657  1 Te 2.45
Cl9 0.6699 0.5343 0.4343  1 Te 2.45
Cl10 0.6699 0.9657 0.9343  1 Te 2.45
Cl11 0.7431 0.6487 0.1435  2 Te 2.87-2.90
Cl12 0.7431 0.8513 0.6435  2 Te 2.87-2.90
Cl13 0.7569 0.1487 0.1435  2 Te 2.87-2.90
Cl14 0.7569 0.3513 0.6435  2 Te 2.87-2.90
Cl15 0.8301 0.0343 0.4343  1 Te 2.45
Cl16 0.8301 0.4657 0.9343  1 Te 2.45

***

[5]
First-principles (PBE) data for a relaxed structure of Mg6WC, as listed in the Materials Project database.

Summary:
**Energy of formation from the pure elements**: 636 kJ/mol of formula units
**Total moment**: 0.005 μB per formula unit
**Energy relative to the lowest polymorph listed for this composition**: 273 meV/atom

Unit cell a=4.8321 b=5.4231 c=10.7488 alpha=90.00 beta=90.00 gamma=90.00
Last column: nearest neighbours and their distance in Å.
Positions (direct):
Mg1 0.5000 0.7488 0.9309  6 Mg 2.70-2.99, 1 C 2.89, 2 W 3.00-3.02
Mg2 0.0000 0.7433 0.5786  6 Mg 2.64-2.95, 2 C 2.95
C1 0.5000 0.5000 0.1689  2 W 2.71, 8 Mg 2.83-2.95
C2 0.5000 0.0000 0.6689  2 W 2.71, 8 Mg 2.83-2.95
Mg3 0.0000 0.0000 0.8061  4 Mg 2.72-2.81, 2 C 2.83
Mg4 0.0000 0.2433 0.0786  6 Mg 2.64-2.95, 2 C 2.95
Mg5 0.5000 0.2512 0.9309  6 Mg 2.70-2.99, 1 C 2.89, 2 W 3.00-3.02
Mg6 0.0000 0.7567 0.0786  6 Mg 2.64-2.95, 2 C 2.95
W1 0.5000 0.0000 0.1815  2 C 2.71, 10 Mg 2.86-3.02
Mg7 0.0000 0.5000 0.3061  4 Mg 2.72-2.81, 2 C 2.83
W2 0.5000 0.5000 0.6815  2 C 2.71, 10 Mg 2.86-3.02
Mg8 0.5000 0.2488 0.4309  6 Mg 2.70-2.99, 1 C 2.89, 2 W 3.00-3.02
Mg9 0.0000 0.5000 0.8245  8 Mg 2.72-2.99, 2 W 2.86
Mg10 0.5000 0.7512 0.4309  6 Mg 2.70-2.99, 1 C 2.89, 2 W 3.00-3.02
Mg11 0.0000 0.2567 0.5786  6 Mg 2.64-2.95, 2 C 2.95
Mg12 0.0000 0.0000 0.3245  8 Mg 2.72-2.99, 2 W 2.86

***

[6]
First-principles (PBE) data for a relaxed structure of Ba2PrCu3O6, as listed in the Materials Project database.

Summary:
**Energy of formation from the pure elements**: -2284 kJ/mol of formula units
**Total moment**: 0.008 μB per formula unit
**Space group**: No. 115

Unit cell a=3.8390 b=3.8390 c=13.5425 alpha=90.00 beta=90.00 gamma=90.00
Last column: nearest neighbours and their distance in Å.
Positions (direct):
Ba1 0.0000 0.0000 0.1494  8 O 2.79-2.81
Ba2 0.0000 0.0000 0.8506  8 O 2.79-2.81
Pr1 0.0000 0.0000 0.5000  4 O 2.29
Cu1 0.5000 0.5000 0.0000  4 O 1.92
Cu2 0.5000 0.5000 0.3392  1 O 1.83
Cu3 0.5000 0.5000 0.6608  1 O 1.83
O1 0.0000 0.5000 0.0002  2 Cu 1.92
O2 0.0000 0.5000 0.4074  2 Cu 2.13, 2 Pr 2.29
O3 0.5000 0.0000 0.9998  2 Cu 1.92
O4 0.5000 0.0000 0.5926  2 Cu 2.13, 2 Pr 2.29
O5 0.5000 0.5000 0.2038  1 Cu 1.83
O6 0.5000 0.5000 0.7962  1 Cu 1.83

***

Q: What is the energy of formation from the pure elements in the second record?
A: -4029 kJ/mol of formula units

***

Q: Among the records above, which one has the highest energy of formation from the pure elements?
A: Mg6WC

***

Q: Which value of energy of formation from the pure elements does entry 6 give?
A: -2284 kJ/mol of formula units

***

Q: Which value of energy of formation from the pure elements does entry 1 give?
A: -246 kJ/mol of formula units